# In2Cu2O5 (PBE, relaxed)
data_In2Cu2O5
_space_group_name_H-M_alt 'P 1'
_space_group_IT_number 1
_cell_length_a 3.329
_cell_length_b 10.718
_cell_length_c 13.556
_cell_angle_alpha 113.14
_cell_angle_beta 90.00
_cell_angle_gamma 90.00
loop_
_space_group_symop_operation_xyz
'x,y,z'
loop_
_atom_site_label
_atom_site_fract_x
_atom_site_fract_y
_atom_site_fract_z
_atom_site_occupancy
In1 0.562 0.505 0.335 1
In2 0.634 0.006 0.335 1
In3 0.562 0.495 0.665 1
In4 0.144 0.671 0.164 1
In5 0.056 0.171 0.165 1
In6 0.144 0.329 0.836 1
In7 0.634 0.994 0.665 1
In8 0.056 0.829 0.835 1
Cu1 0.694 0.605 0.946 1
Cu2 0.694 0.395 0.054 1
Cu3 0.019 0.342 0.447 1
Cu4 0.190 0.160 0.553 1
Cu5 0.190 0.840 0.447 1
Cu6 0.507 0.107 0.947 1
Cu7 0.019 0.658 0.553 1
Cu8 0.507 0.893 0.053 1
O1 0.163 0.000 0.000 1
O2 0.066 0.352 0.596 1
O3 0.568 0.049 0.192 1
O4 0.132 0.148 0.403 1
O5 0.631 0.551 0.193 1
O6 0.650 0.256 0.905 1
O7 0.650 0.744 0.095 1
O8 0.631 0.449 0.807 1
O9 0.551 0.247 0.097 1
O10 0.046 0.500 0.000 1
O11 0.136 0.142 0.693 1
O12 0.136 0.858 0.307 1
O13 0.650 0.500 0.500 1
O14 0.540 0.000 0.500 1
O15 0.061 0.642 0.693 1
O16 0.551 0.753 0.903 1
O17 0.061 0.358 0.307 1
O18 0.066 0.648 0.404 1
O19 0.568 0.951 0.808 1
O20 0.132 0.852 0.597 1
# Total moment (μB/atom): 0.111
# Space-group type: P2
# Energy relative to the elements (eV per atom): -1.4817

# Na6Mg7GeS12O48 (PBE, relaxed)
data_Na6Mg7GeS12O48
_space_group_name_H-M_alt 'P 1'
_space_group_IT_number 1
_cell_length_a 17.332
_cell_length_b 8.658
_cell_length_c 22.394
_cell_angle_alpha 89.99
_cell_angle_beta 90.02
_cell_angle_gamma 119.96
loop_
_space_group_symop_operation_xyz
'x,y,z'
loop_
_atom_site_label
_atom_site_fract_x
_atom_site_fract_y
_atom_site_fract_z
_atom_site_occupancy
Na1 0.321 0.642 0.750 1
Na2 0.651 0.334 0.585 1
Na3 0.988 0.667 0.918 1
Na4 0.666 0.304 0.915 1
Na5 0.167 0.028 0.418 1
Na6 0.667 0.027 0.418 1
Na7 0.995 0.002 0.499 1
Na8 0.485 0.981 0.501 1
Na9 0.003 0.017 0.000 1
Na10 0.491 0.985 0.998 1
Na11 0.338 0.325 0.837 1
Na12 0.831 0.316 0.830 1
Na13 0.340 0.346 0.333 1
Na14 0.841 0.346 0.333 1
Na15 0.168 0.667 0.166 1
Na16 0.666 0.666 0.166 1
Na17 0.165 0.672 0.664 1
Na18 0.663 0.675 0.669 1
Mg1 0.997 0.999 0.352 1
Mg2 0.496 0.999 0.352 1
Mg3 0.001 0.008 0.852 1
Mg4 0.497 0.995 0.850 1
Mg5 0.497 0.994 0.650 1
Mg6 0.337 0.331 0.682 1
Mg7 0.832 0.331 0.685 1
Mg8 0.333 0.333 0.184 1
Mg9 0.833 0.333 0.184 1
Mg10 0.334 0.337 0.984 1
Mg11 0.833 0.322 0.986 1
Mg12 0.336 0.341 0.484 1
Mg13 0.840 0.340 0.484 1
Mg14 0.170 0.668 0.018 1
Mg15 0.665 0.668 0.019 1
Mg16 0.168 0.662 0.518 1
Mg17 0.666 0.671 0.517 1
Mg18 0.167 0.664 0.314 1
Mg19 0.667 0.664 0.314 1
Mg20 0.166 0.672 0.817 1
Mg21 0.665 0.666 0.815 1
Ge1 0.001 0.003 0.650 1
Ge2 0.000 0.001 0.151 1
Ge3 0.499 0.999 0.150 1
S1 0.145 0.000 0.250 1
S2 0.644 0.000 0.250 1
S3 0.355 0.711 0.249 1
S4 0.856 0.712 0.249 1
S5 0.000 0.289 0.249 1
S6 0.500 0.288 0.249 1
S7 0.145 0.289 0.749 1
S8 0.649 0.297 0.750 1
S9 0.000 0.712 0.749 1
S10 0.501 0.705 0.750 1
S11 0.351 0.002 0.750 1
S12 0.856 0.000 0.749 1
S13 0.481 0.333 0.583 1
S14 0.981 0.327 0.587 1
S15 0.181 0.036 0.586 1
S16 0.687 0.038 0.583 1
S17 0.332 0.629 0.585 1
S18 0.838 0.636 0.586 1
S19 0.481 0.635 0.087 1
S20 0.982 0.636 0.085 1
S21 0.336 0.039 0.086 1
S22 0.836 0.036 0.087 1
S23 0.183 0.327 0.086 1
S24 0.682 0.327 0.085 1
S25 0.314 0.664 0.916 1
S26 0.814 0.669 0.918 1
S27 0.020 0.373 0.917 1
S28 0.519 0.373 0.917 1
S29 0.168 0.964 0.917 1
S30 0.667 0.960 0.917 1
S31 0.313 0.960 0.417 1
S32 0.814 0.959 0.417 1
S33 0.167 0.373 0.416 1
S34 0.667 0.373 0.417 1
S35 0.020 0.664 0.416 1
S36 0.519 0.665 0.415 1
O1 0.104 0.024 0.304 1
O2 0.604 0.024 0.304 1
O3 0.411 0.795 0.301 1
O4 0.911 0.796 0.301 1
O5 0.488 0.179 0.301 1
O6 0.988 0.179 0.301 1
O7 0.103 0.180 0.801 1
O8 0.606 0.190 0.805 1
O9 0.486 0.787 0.803 1
O10 0.988 0.793 0.804 1
O11 0.405 0.025 0.804 1
O12 0.912 0.024 0.801 1
O13 0.393 0.970 0.697 1
O14 0.898 0.968 0.692 1
O15 0.088 0.209 0.693 1
O16 0.596 0.212 0.695 1
O17 0.016 0.830 0.694 1
O18 0.512 0.811 0.695 1
O19 0.396 0.826 0.192 1
O20 0.897 0.827 0.192 1
O21 0.016 0.207 0.192 1
O22 0.516 0.206 0.192 1
O23 0.085 0.968 0.194 1
O24 0.585 0.969 0.194 1
O25 0.441 0.358 0.637 1
O26 0.939 0.350 0.640 1
O27 0.235 0.124 0.638 1
O28 0.742 0.127 0.635 1
O29 0.321 0.526 0.641 1
O30 0.823 0.524 0.639 1
O31 0.439 0.529 0.140 1
O32 0.937 0.525 0.137 1
O33 0.325 0.121 0.140 1
O34 0.825 0.121 0.140 1
O35 0.235 0.349 0.140 1
O36 0.737 0.349 0.137 1
O37 0.220 0.293 0.032 1
O38 0.719 0.296 0.030 1
O39 0.427 0.561 0.032 1
O40 0.929 0.564 0.029 1
O41 0.352 0.147 0.032 1
O42 0.853 0.144 0.032 1
O43 0.216 0.138 0.529 1
O44 0.727 0.149 0.528 1
O45 0.343 0.540 0.532 1
O46 0.854 0.560 0.531 1
O47 0.428 0.309 0.529 1
O48 0.927 0.293 0.532 1
O49 0.270 0.688 0.968 1
O50 0.773 0.692 0.971 1
O51 0.073 0.456 0.971 1
O52 0.576 0.455 0.970 1
O53 0.151 0.848 0.970 1
O54 0.656 0.857 0.971 1
O55 0.272 0.854 0.471 1
O56 0.772 0.853 0.471 1
O57 0.154 0.453 0.470 1
O58 0.656 0.452 0.473 1
O59 0.076 0.695 0.470 1
O60 0.575 0.697 0.469 1
O61 0.061 0.641 0.362 1
O62 0.561 0.642 0.361 1
O63 0.258 0.880 0.363 1
O64 0.758 0.878 0.363 1
O65 0.179 0.478 0.362 1
O66 0.679 0.482 0.365 1
O67 0.060 0.484 0.863 1
O68 0.560 0.479 0.863 1
O69 0.178 0.881 0.863 1
O70 0.680 0.880 0.863 1
O71 0.263 0.641 0.859 1
O72 0.759 0.639 0.864 1
O73 0.012 0.829 0.411 1
O74 0.511 0.830 0.410 1
O75 0.403 0.981 0.411 1
O76 0.903 0.980 0.411 1
O77 0.087 0.188 0.411 1
O78 0.588 0.190 0.412 1
O79 0.009 0.193 0.911 1
O80 0.512 0.194 0.911 1
O81 0.085 0.978 0.912 1
O82 0.588 0.985 0.911 1
O83 0.404 0.826 0.911 1
O84 0.905 0.825 0.911 1
O85 0.494 0.174 0.588 1
O86 0.989 0.157 0.593 1
O87 0.088 0.021 0.592 1
O88 0.598 0.024 0.588 1
O89 0.413 0.808 0.589 1
O90 0.920 0.819 0.593 1
O91 0.489 0.821 0.093 1
O92 0.989 0.820 0.092 1
O93 0.422 0.023 0.092 1
O94 0.921 0.022 0.093 1
O95 0.089 0.157 0.092 1
O96 0.590 0.158 0.092 1
O97 0.340 0.158 0.744 1
O98 0.850 0.162 0.741 1
O99 0.234 0.310 0.741 1
O100 0.738 0.313 0.746 1
O101 0.418 0.525 0.745 1
O102 0.920 0.537 0.741 1
O103 0.348 0.535 0.241 1
O104 0.848 0.536 0.241 1
O105 0.420 0.304 0.241 1
O106 0.920 0.305 0.241 1
O107 0.232 0.161 0.242 1
O108 0.732 0.161 0.242 1
O109 0.323 0.504 0.922 1
O110 0.824 0.505 0.923 1
O111 0.430 0.353 0.924 1
O112 0.930 0.358 0.923 1
O113 0.247 0.141 0.924 1
O114 0.747 0.145 0.922 1
O115 0.321 0.140 0.423 1
O116 0.822 0.139 0.422 1
O117 0.246 0.347 0.422 1
O118 0.747 0.349 0.422 1
O119 0.429 0.507 0.421 1
O120 0.930 0.506 0.423 1
O121 0.169 0.481 0.080 1
O122 0.669 0.483 0.080 1
O123 0.072 0.661 0.080 1
O124 0.572 0.662 0.080 1
O125 0.259 0.857 0.080 1
O126 0.759 0.856 0.080 1
O127 0.168 0.854 0.580 1
O128 0.677 0.860 0.577 1
O129 0.252 0.648 0.580 1
O130 0.758 0.655 0.579 1
O131 0.071 0.481 0.580 1
O132 0.573 0.492 0.578 1
O133 0.152 0.838 0.252 1
O134 0.652 0.839 0.252 1
O135 0.267 0.696 0.252 1
O136 0.767 0.697 0.252 1
O137 0.081 0.466 0.252 1
O138 0.581 0.465 0.252 1
O139 0.154 0.469 0.753 1
O140 0.658 0.476 0.755 1
O141 0.081 0.696 0.752 1
O142 0.580 0.686 0.755 1
O143 0.262 0.835 0.755 1
O144 0.768 0.839 0.752 1
# Total moment (μB/atom): 0.000
# Space-group type: P1
# Energy relative to the elements (eV per atom): -2.2707

# Li4Ga3Si3IO12 (PBE, relaxed)
data_Li4Ga3Si3IO12
_space_group_name_H-M_alt 'P 1'
_space_group_IT_number 1
_cell_length_a 8.741
_cell_length_b 8.741
_cell_length_c 8.741
_cell_angle_alpha 90.00
_cell_angle_beta 90.00
_cell_angle_gamma 90.00
loop_
_space_group_symop_operation_xyz
'x,y,z'
loop_
_atom_site_label
_atom_site_fract_x
_atom_site_fract_y
_atom_site_fract_z
_atom_site_occupancy
Li1 0.189 0.811 0.811 1
Li2 0.811 0.189 0.811 1
Li3 0.689 0.311 0.311 1
Li4 0.189 0.189 0.189 1
Li5 0.811 0.811 0.189 1
Li6 0.689 0.689 0.689 1
Li7 0.311 0.311 0.689 1
Li8 0.311 0.689 0.311 1
Ga1 0.000 0.750 0.500 1
Ga2 0.250 0.500 0.000 1
Ga3 0.500 0.000 0.750 1
Ga4 0.500 0.000 0.250 1
Ga5 0.000 0.250 0.500 1
Ga6 0.750 0.500 0.000 1
Si1 0.000 0.500 0.250 1
Si2 0.500 0.750 0.000 1
Si3 0.500 0.250 0.000 1
Si4 0.000 0.500 0.750 1
Si5 0.750 0.000 0.500 1
Si6 0.250 0.000 0.500 1
I1 0.000 0.000 0.000 1
I2 0.500 0.500 0.500 1
O1 0.130 0.591 0.851 1
O2 0.091 0.630 0.351 1
O3 0.409 0.851 0.870 1
O4 0.409 0.149 0.130 1
O5 0.149 0.870 0.591 1
O6 0.591 0.851 0.130 1
O7 0.351 0.091 0.630 1
O8 0.909 0.370 0.351 1
O9 0.591 0.149 0.870 1
O10 0.370 0.649 0.091 1
O11 0.351 0.909 0.370 1
O12 0.091 0.370 0.649 1
O13 0.870 0.591 0.149 1
O14 0.649 0.909 0.630 1
O15 0.909 0.630 0.649 1
O16 0.870 0.409 0.851 1
O17 0.630 0.351 0.091 1
O18 0.649 0.091 0.370 1
O19 0.851 0.870 0.409 1
O20 0.370 0.351 0.909 1
O21 0.149 0.130 0.409 1
O22 0.130 0.409 0.149 1
O23 0.630 0.649 0.909 1
O24 0.851 0.130 0.591 1
# Space-group type: P-43n
# Energy relative to the elements (eV per atom): -2.6667

Question: What is the energy relative to the elements in the first record?
Answer: -1.4817 eV per atom

Question: What is the energy relative to the elements in the first record?
Answer: -1.4817 eV per atom

Question: Number 3 is which compound?
Answer: Li4Ga3Si3IO12

Question: Among the records above, which one has the lowest energy relative to the elements?
Answer: Li4Ga3Si3IO12